Below is a geometry-optimized W2NCl8 structure, with properties calculated at the r2SCAN level.

Formation enthalpy at 0 K in meV/atom: -938

Unit cell a=6.492 b=6.548 c=6.988 alpha=90.21 beta=97.64 gamma=96.65
Space group P-1 (No. 2)
Asymmetric unit:
W (0.052, 0.409, 0.268) [2 per cell]
N (0.000, 0.500, 0.500) [1 per cell]
Cl (0.109, 0.312, 0.910) [2 per cell]
Cl (0.214, 0.131, 0.369) [2 per cell]
Cl (0.265, 0.784, 0.805) [2 per cell]
Cl (0.362, 0.613, 0.274) [2 per cell]

---

Below is a geometry-optimized Lu2Co2O7 structure, with properties calculated at the r2SCAN level.

Formation enthalpy at 0 K in meV/atom: -2459

Unit cell a=6.821 b=6.824 c=6.832 alpha=90.05 beta=119.94 gamma=119.95
Space group P-1 (No. 2)
Asymmetric unit:
Lu (0.000, 0.000, 0.000) [1 per cell]
Lu (0.000, 0.000, 0.500) [1 per cell]
Lu (0.500, 0.000, 0.000) [1 per cell]
Lu (0.500, 0.500, 0.000) [1 per cell]
Co (0.000, 0.500, 0.000) [1 per cell]
Co (0.000, 0.500, 0.500) [1 per cell]
Co (0.500, 0.000, 0.500) [1 per cell]
Co (0.500, 0.500, 0.500) [1 per cell]
O (0.161, 0.584, 0.833) [2 per cell]
O (0.249, 0.125, 0.874) [2 per cell]
O (0.249, 0.419, 0.169) [2 per cell]
O (0.249, 0.422, 0.582) [2 per cell]
O (0.250, 0.831, 0.580) [2 per cell]
O (0.251, 0.834, 0.173) [2 per cell]
O (0.341, 0.174, 0.423) [2 per cell]

---

Below is a geometry-optimized ThB4 structure, with properties calculated at the r2SCAN level.

Formation enthalpy at 0 K in meV/atom: -650

Unit cell a=7.257 b=7.257 c=4.127 alpha=90.00 beta=90.00 gamma=90.00
Space group P4/mbm (No. 127)
Asymmetric unit:
Th (0.184, 0.316, 0.000) [4 per cell]
B (0.000, 0.000, 0.201) [4 per cell]
B (0.039, 0.825, 0.500) [8 per cell]
B (0.090, 0.590, 0.500) [4 per cell]

---

Below is a geometry-optimized BaNd2CoO5 structure, with properties calculated at the r2SCAN level.

Formation enthalpy at 0 K in meV/atom: -2934

Unit cell a=3.809 b=5.969 c=11.859 alpha=90.00 beta=90.00 gamma=90.00
Space group Immm (No. 71)
Asymmetric unit:
Ba (0.000, 0.000, 0.000) [2 per cell]
Nd (0.000, 0.500, 0.203) [4 per cell]
Co (0.000, 0.000, 0.500) [2 per cell]
O (0.000, 0.243, 0.354) [8 per cell]
O (0.000, 0.500, 0.000) [2 per cell]

---

Below is a geometry-optimized CoPO4 structure, with properties calculated at the r2SCAN level.

Formation enthalpy at 0 K in meV/atom: -1853

Unit cell a=10.040 b=7.391 c=4.950 alpha=90.00 beta=90.00 gamma=90.00
Space group Pna2_1 (No. 33)
Asymmetric unit:
Co (0.097, 0.207, 0.000) [4 per cell]
P (0.177, 0.977, 0.511) [4 per cell]
O (0.083, 0.817, 0.450) [4 per cell]
O (0.133, 0.147, 0.359) [4 per cell]
O (0.177, 0.016, 0.814) [4 per cell]
O (0.182, 0.419, 0.926) [4 per cell]

---

Below is a geometry-optimized Yb2HgGe structure, with properties calculated at the r2SCAN level.

Formation enthalpy at 0 K in meV/atom: -577

Unit cell a=7.126 b=7.126 c=7.126 alpha=90.00 beta=90.00 gamma=90.00
Space group Fm-3m (No. 225)
Asymmetric unit:
Yb (0.250, 0.250, 0.250) [8 per cell]
Hg (0.000, 0.000, 0.000) [4 per cell]
Ge (0.000, 0.000, 0.500) [4 per cell]

---

Below is a geometry-optimized Tb2Si3Rh structure, with properties calculated at the r2SCAN level.

Formation enthalpy at 0 K in meV/atom: -1013

Unit cell a=8.1432 b=8.1432 c=7.9774 alpha=90.00 beta=90.00 gamma=120.00
Space group P6_3/mmc (No. 194)
Asymmetric unit:
Tb (0.0000, 0.0000, 0.2500) [2 per cell]
Tb (0.0145, 0.5072, 0.2500) [6 per cell]
Si (0.1670, 0.3340, 0.0003) [12 per cell]
Rh (0.3333, 0.6667, 0.5284) [4 per cell]

---

Below is a geometry-optimized La4MgIr structure, with properties calculated at the r2SCAN level.

Formation enthalpy at 0 K in meV/atom: -441

Unit cell a=14.415 b=14.415 c=14.415 alpha=90.00 beta=90.00 gamma=90.00
Space group F-43m (No. 216)
Asymmetric unit:
La (0.000, 0.000, 0.188) [24 per cell]
La (0.060, 0.250, 0.250) [24 per cell]
La (0.155, 0.155, 0.655) [16 per cell]
Mg (0.078, 0.078, 0.422) [16 per cell]
Ir (0.141, 0.141, 0.859) [16 per cell]

---

Below is a geometry-optimized RbSeBr3 structure, with properties calculated at the r2SCAN level.

Formation enthalpy at 0 K in meV/atom: -864

Unit cell a=5.374 b=8.722 c=7.619 alpha=90.00 beta=97.06 gamma=90.00
Space group P2_1/m (No. 11)
Asymmetric unit:
Rb (0.202, 0.250, 0.145) [2 per cell]
Se (0.000, 0.000, 0.500) [2 per cell]
Br (0.218, 0.750, 0.405) [2 per cell]
Br (0.289, 0.501, 0.800) [4 per cell]

---

Below is a geometry-optimized Ba2Cu2O5 structure, with properties calculated at the r2SCAN level.

Formation enthalpy at 0 K in meV/atom: -1711

Unit cell a=10.685 b=4.145 c=13.970 alpha=90.00 beta=90.00 gamma=90.00
Space group Pna2_1 (No. 33)
Asymmetric unit:
Ba (0.045, 0.184, 0.000) [4 per cell]
Ba (0.208, 0.172, 0.322) [4 per cell]
Cu (0.012, 0.335, 0.708) [4 per cell]
Cu (0.234, 0.161, 0.618) [4 per cell]
O (0.044, 0.669, 0.330) [4 per cell]
O (0.081, 0.324, 0.586) [4 per cell]
O (0.126, 0.453, 0.162) [4 per cell]
O (0.164, 0.164, 0.740) [4 per cell]
O (0.210, 0.678, 0.996) [4 per cell]

---

Below is a geometry-optimized KNa2Li3Zr2Si12O30 structure, with properties calculated at the r2SCAN level.

Formation enthalpy at 0 K in meV/atom: -2937

Unit cell a=10.3742 b=10.3742 c=14.0417 alpha=90.00 beta=90.00 gamma=120.00
Space group P6/mcc (No. 192)
Asymmetric unit:
K (0.0000, 0.0000, 0.2500) [2 per cell]
Na (0.3333, 0.6667, 0.0000) [4 per cell]
Li (0.0000, 0.5000, 0.2500) [6 per cell]
Zr (0.3333, 0.6667, 0.2500) [4 per cell]
Si (0.1070, 0.3458, 0.1113) [24 per cell]
O (0.0610, 0.2715, 0.3698) [24 per cell]
O (0.1294, 0.4002, 0.0000) [12 per cell]
O (0.1474, 0.4862, 0.1760) [24 per cell]

---

Below is a geometry-optimized Sr4Mn3Cl2O8 structure, with properties calculated at the r2SCAN level.

Formation enthalpy at 0 K in meV/atom: -2680

Unit cell a=3.868 b=3.868 c=32.201 alpha=90.00 beta=90.00 gamma=90.00
Space group I4/mmm (No. 139)
Asymmetric unit:
Sr (0.000, 0.000, 0.058) [4 per cell]
Sr (0.000, 0.000, 0.178) [4 per cell]
Mn (0.000, 0.000, 0.381) [4 per cell]
Mn (0.000, 0.000, 0.500) [2 per cell]
Cl (0.000, 0.000, 0.285) [4 per cell]
O (0.000, 0.000, 0.440) [4 per cell]
O (0.000, 0.500, 0.000) [4 per cell]
O (0.000, 0.500, 0.128) [8 per cell]

---

Below is a geometry-optimized Ba3Si4 structure, with properties calculated at the r2SCAN level.

Formation enthalpy at 0 K in meV/atom: -459

Unit cell a=8.606 b=8.606 c=11.967 alpha=90.00 beta=90.00 gamma=90.00
Space group P4_2/mnm (No. 136)
Asymmetric unit:
Ba (0.000, 0.000, 0.170) [4 per cell]
Ba (0.000, 0.500, 0.250) [4 per cell]
Ba (0.164, 0.164, 0.500) [4 per cell]
Si (0.102, 0.299, 0.000) [8 per cell]
Si (0.201, 0.799, 0.356) [8 per cell]